No. 1
The following is a DFT calculation (GGA+U) of a relaxed Rb3LiErV2O8 crystal.

Output
Space-group type: P3m1, No. 156
Energy of formation, eV/atom: -2.512

a = 5.9600 Å, b = 5.9600 Å, c = 8.7855 Å
α = 90.00°, β = 90.00°, γ = 120.00°
With the nearest neighbours (Å) after each atom.
Fractional positions:
Rb  0.6667  0.3333  0.2840  7 O 3.00-3.12
Rb  0.3333  0.6667  0.7146  7 O 3.02-3.11
Rb  0.0000  0.0000  0.0699  1 Li 2.68, 3 O 2.87
Li  0.0000  0.0000  0.7654  3 O 1.94
Er  0.0000  0.0000  0.4853  6 O 2.25-2.26, 1 Li 2.46
V  0.6667  0.3333  0.7320  4 O 1.73-1.88
V  0.3333  0.6667  0.2603  4 O 1.69-1.77
O  0.6667  0.3333  0.9292  1 V 1.73
O  0.3333  0.6667  0.0681  1 V 1.69
O  0.8369  0.6737  0.6567  1 V 1.88, 1 Li 1.94
O  0.1715  0.3431  0.3265  1 V 1.77
O  0.8369  0.1631  0.6567  1 V 1.88, 1 Li 1.94
O  0.1715  0.8285  0.3265  1 V 1.77
O  0.3263  0.1631  0.6567  1 V 1.88, 1 Li 1.94
O  0.6569  0.8285  0.3265  1 V 1.77



No. 2
The following is a DFT calculation (GGA+U) of a relaxed Rb3LiErV2O8 crystal.

Output
Space-group type: P1, No. 1
Energy of formation, eV/atom: -2.579

a = 6.1095 Å, b = 6.1683 Å, c = 7.9508 Å
α = 84.35°, β = 94.29°, γ = 119.49°
With the nearest neighbours (Å) after each atom.
Fractional positions:
Rb  0.6590  0.3397  0.3102  7 O 2.83-3.12
Rb  0.3632  0.6464  0.6753  10 O 2.95-3.27, 1 Li 2.99
Rb  0.0013  0.0899  0.0301  5 O 2.80-3.12, 1 Li 2.97
Li  0.0061  0.6518  0.9097  3 O 1.89-1.99
Er  0.0002  0.9908  0.5117  6 O 2.16-2.40
V  0.6712  0.3014  0.7421  4 O 1.76-1.89
V  0.3233  0.6831  0.2506  4 O 1.73-1.77
O  0.7207  0.3377  0.9612  1 V 1.76, 1 Li 1.89
O  0.2998  0.6921  0.0320  1 V 1.73, 1 Li 1.89
O  0.8703  0.6433  0.6740  1 V 1.89, 1 Li 1.99
O  0.1726  0.3681  0.3297  1 V 1.76
O  0.8228  0.1409  0.6582  1 V 1.85
O  0.1727  0.8345  0.3246  1 V 1.76
O  0.3494  0.1616  0.6580  1 V 1.82
O  0.6403  0.8270  0.3240  1 V 1.77



No. 3
The following is a DFT calculation (GGA+U) of a relaxed Rb3LiErV2O8 crystal.

Output
Space-group type: C2/m, No. 12
Energy of formation, eV/atom: -2.554

a = 6.0793 Å, b = 6.1376 Å, c = 8.4075 Å
α = 90.00°, β = 87.35°, γ = 120.32°
With the nearest neighbours (Å) after each atom.
Fractional positions:
Rb  0.6496  0.3248  0.2529  1 O 2.69, 1 Li 2.85
Rb  0.3504  0.6752  0.7471  1 O 2.69, 1 Li 2.85
Rb  0.0000  0.0000  0.0000  2 O 3.06
Li  0.0000  0.5000  0.5000  4 O 2.01
Er  0.0000  0.0000  0.5000  6 O 2.23-2.29
V  0.6368  0.3184  0.7316  4 O 1.71-1.83
V  0.3632  0.6816  0.2684  4 O 1.71-1.83
O  0.6721  0.3360  0.9325  1 V 1.71
O  0.3279  0.6640  0.0675  1 V 1.71
O  0.8124  0.6314  0.6354  1 V 1.83, 1 Li 2.01
O  0.1876  0.3686  0.3646  1 V 1.83, 1 Li 2.01
O  0.8124  0.1810  0.6354  1 V 1.83, 1 Li 2.01
O  0.1876  0.8190  0.3646  1 V 1.83, 1 Li 2.01
O  0.3118  0.1559  0.6812  1 V 1.78
O  0.6882  0.8441  0.3188  1 V 1.78



No. 4
The following is a DFT calculation (GGA+U) of a relaxed LiEr2Tl2W4O16 crystal.

Output
Space-group type: C2, No. 5
Energy of formation, eV/atom: -2.423

a = 7.7618 Å, b = 7.7618 Å, c = 7.5494 Å
α = 61.57°, β = 61.57°, γ = 87.42°
With the nearest neighbours (Å) after each atom.
Fractional positions:
Li  0.5072  0.4928  0.7500  4 O 1.80-1.88
Er  0.2218  0.7782  0.7500  6 O 2.21-2.33
Er  0.7745  0.2255  0.2500  6 O 2.27-2.34
Tl  0.7919  0.2081  0.7500  10 O 2.85-3.08, 1 Li 3.05
Tl  0.2069  0.7931  0.2500  10 O 2.86-3.11
W  0.2874  0.3022  0.7046  5 O 1.85-2.06
W  0.7069  0.6971  0.2867  4 O 1.84-2.05
W  0.6978  0.7126  0.7954  5 O 1.85-2.06
W  0.3029  0.2931  0.2133  4 O 1.84-2.05
O  0.3626  0.2367  0.9534  1 Li 1.80
O  0.6296  0.7592  0.0572  2 W 1.94-2.00
O  0.7633  0.6374  0.5466  1 Li 1.80
O  0.2408  0.3704  0.4428  2 W 1.94-2.00
O  0.6464  0.9499  0.6178  1 W 1.85
O  0.3550  0.0541  0.3827  1 W 1.85
O  0.0501  0.3536  0.8822  1 W 1.85
O  0.9459  0.6450  0.1173  1 W 1.85
O  0.4084  0.6227  0.5462  1 Li 1.88, 1 W 2.06
O  0.5915  0.3788  0.4616  2 W 2.06-2.15
O  0.3773  0.5916  0.9538  1 Li 1.88, 1 W 2.06
O  0.6212  0.4085  0.0384  2 W 2.06-2.15
O  0.2361  0.0319  0.8046  1 W 1.85
O  0.7624  0.9645  0.1938  1 W 1.84
O  0.9681  0.7639  0.6954  1 W 1.85
O  0.0355  0.2376  0.3062  1 W 1.84



No. 5
The following is a DFT calculation (GGA+U) of a relaxed LiEr2Tl2W4O16 crystal.

Output
Space-group type: P1, No. 1
Energy of formation, eV/atom: -2.451

a = 7.4702 Å, b = 7.9272 Å, c = 7.4916 Å
α = 62.63°, β = 63.00°, γ = 88.91°
With the nearest neighbours (Å) after each atom.
Fractional positions:
Li  0.3448  0.6282  0.2414  2 O 1.84-1.87
Er  0.2569  0.7919  0.7369  6 O 2.25-2.40
Er  0.7574  0.1992  0.2610  6 O 2.23-2.37
Tl  0.7951  0.2029  0.7402  10 O 2.86-3.20
Tl  0.1444  0.8946  0.2355  1 Li 2.56, 6 O 2.68-2.85
W  0.2943  0.3122  0.7020  4 O 1.83-1.99
W  0.7127  0.6778  0.2906  3 O 1.83-1.93
W  0.6973  0.6879  0.7934  4 O 1.84-1.97
W  0.3164  0.2887  0.2046  5 O 1.90-2.09
O  0.3840  0.2596  0.9230  2 W 1.93-2.06
O  0.6289  0.7426  0.0622  1 Li 1.87, 2 W 1.93-2.09
O  0.7574  0.6132  0.5655  2 W 1.92-2.06
O  0.2322  0.3649  0.4522  1 Li 1.84, 2 W 1.99-2.04
O  0.6251  0.9148  0.6314  1 W 1.88
O  0.4003  0.0688  0.3654  1 W 1.90
O  0.0402  0.3314  0.8897  1 W 1.83
O  0.9675  0.6561  0.1092  1 W 1.83
O  0.4002  0.6199  0.5309  2 W 2.09-2.12
O  0.6063  0.3782  0.4495  2 W 2.07-2.10
O  0.3711  0.5867  0.9776  1 Li 2.07, 2 W 2.09-2.12, 1 Er 2.30
O  0.6428  0.4129  0.0299  2 W 1.97-2.15
O  0.2451  0.0494  0.7906  1 W 1.86
O  0.7784  0.9361  0.2102  1 W 1.85
O  0.9700  0.7716  0.6971  1 W 1.84
O  0.0312  0.2102  0.3065  1 W 1.91



No. 6
The following is a DFT calculation (GGA+U) of a relaxed LiErW2O8 crystal.

Output
Space-group type: P2/c, No. 13
Energy of formation, eV/atom: -2.670

a = 5.8890 Å, b = 5.0884 Å, c = 10.9575 Å
α = 66.47°, β = 90.00°, γ = 90.00°
With the nearest neighbours (Å) after each atom.
Fractional positions:
Li  0.2471  0.5000  0.7500  4 O 2.05-2.15
Li  0.7529  0.5000  0.2500  4 O 2.05-2.15
Er  0.6852  0.0000  0.7500  6 O 2.22-2.34
Er  0.3148  0.0000  0.2500  6 O 2.22-2.34
W  0.1768  0.2356  0.5139  4 O 1.82-2.01
W  0.8232  0.7644  0.4861  4 O 1.82-2.01
W  0.1768  0.7644  0.9861  4 O 1.82-2.01
W  0.8232  0.2356  0.0139  4 O 1.82-2.01
O  0.6276  0.7890  0.6099  1 W 1.82
O  0.3724  0.2110  0.3901  1 W 1.82
O  0.6276  0.2110  0.8901  1 W 1.82
O  0.3724  0.7890  0.1099  1 W 1.82
O  0.3726  0.2704  0.6360  1 W 1.83
O  0.6274  0.7296  0.3640  1 W 1.83
O  0.3726  0.7296  0.8640  1 W 1.83
O  0.6274  0.2704  0.1360  1 W 1.83
O  0.0848  0.8500  0.6123  1 W 1.90, 1 Li 2.05
O  0.9152  0.1500  0.3877  1 W 1.90, 1 Li 2.05
O  0.0848  0.1500  0.8877  1 W 1.90, 1 Li 2.05
O  0.9152  0.8500  0.1123  1 W 1.90, 1 Li 2.05
O  0.8900  0.3502  0.5976  2 W 2.01-2.11, 1 Er 2.25
O  0.1100  0.6498  0.4024  2 W 2.01-2.11, 1 Er 2.25
O  0.8900  0.6498  0.9024  2 W 2.01-2.11, 1 Er 2.25
O  0.1100  0.3502  0.0976  2 W 2.01-2.11, 1 Er 2.25



One value per record, in order, for volume: 18.02; 17.29; 18.03; 13.68; 13.63; 12.54 A^3/atom.
One value per record, in order, for E_tot: -6.397; -6.464; -6.439; -7.144; -7.172; -7.470 eV/atom.